No. 1
r²SCAN Ba3Pb5, relaxed; DFT total energy = -732.0 eV for the cell shown; energy of formation = -0.632 eV per atom; space group = No. 63
1.0
7.313 0.032 0.000
-1.473 7.163 0.000
0.000 0.000 11.505
Pb Ba
10 6
Cartesian
4.694 5.783 5.111
2.851 7.075 2.876
-0.498 2.950 8.629
1.146 1.412 6.394
6.338 4.246 2.876
3.180 3.918 2.876
4.694 5.783 0.641
2.989 0.120 8.629
2.660 3.278 8.629
1.146 1.412 10.864
1.105 5.071 0.000
5.023 6.188 8.629
1.105 5.071 5.753
0.818 1.007 2.876
4.735 2.124 5.753
4.735 2.124 0.000

=====

No. 2
r²SCAN Y12Ni6Pb, relaxed; DFT total energy = -378.9 eV for the cell shown; energy of formation = -0.365 eV per atom; space group = No. 204
1.0
-4.877 4.877 4.877
4.877 -4.877 4.877
4.877 4.877 -4.877
Ni Y Pb
6 12 1
Cartesian
0.000 4.877 1.167
4.878 0.000 3.710
4.878 1.168 0.000
1.168 0.000 4.878
0.000 3.710 4.878
3.710 4.877 0.000
3.030 1.899 4.878
4.878 3.030 -1.899
-1.899 4.877 3.030
4.878 3.030 1.900
0.000 1.848 2.978
2.978 0.000 1.848
3.030 -1.899 4.877
1.899 4.877 3.030
6.777 0.000 1.848
0.000 1.848 6.777
1.848 2.978 0.000
1.848 6.776 0.000
4.878 4.878 4.878

=====

No. 3
r²SCAN UNbO5, relaxed; DFT total energy = -313.5 eV for the cell shown; energy of formation = -3.176 eV per atom; space group = No. 17
1.0
-1.493 -0.412 -3.801
0.844 -6.419 0.364
-6.913 -0.750 2.796
O U Nb
10 2 2
Cartesian
-0.071 -2.002 0.196
-4.176 -0.573 -0.433
-4.363 -2.712 -2.376
-6.031 -5.176 2.881
-0.960 -6.030 1.031
-4.659 -5.272 -1.982
-0.774 -0.214 -1.970
-2.010 -3.926 -1.001
-5.109 -1.138 2.130
-5.552 -3.654 0.360
-4.799 -3.498 2.264
-1.270 -3.670 0.897
-0.122 -0.034 -0.311
-4.827 -0.753 -2.092

=====

No. 4
r²SCAN LiEuBi, relaxed; DFT total energy = -409.2 eV for the cell shown; energy of formation = -0.967 eV per atom; space group = No. 62
1.0
-3.493 3.358 0.499
-5.551 -5.518 -1.730
-0.668 -1.927 8.291
Li Bi Eu
4 4 4
Cartesian
-4.768 -0.154 3.315
-2.402 -1.848 7.509
-7.310 -2.239 -0.448
-4.944 -3.934 3.745
-5.772 -5.175 6.306
-2.787 -1.812 4.570
-6.925 -2.275 2.490
-3.940 1.088 0.755
-5.898 -1.738 6.060
-3.813 -2.350 1.000
-1.090 0.258 2.515
-8.622 -4.346 4.545

=====

No. 5
r²SCAN Hf5Si3N, relaxed; DFT total energy = -542.6 eV for the cell shown; energy of formation = -1.121 eV per atom; space group = No. 193
1.0
3.894 -6.744 0.000
3.894 6.744 0.000
0.000 0.000 5.519
Hf Si N
10 6 2
Cartesian
0.914 -1.584 1.380
3.894 2.248 2.759
3.894 2.248 0.000
2.979 5.160 4.139
3.894 -2.248 0.000
5.958 0.000 1.380
1.829 0.000 4.139
2.979 -5.160 4.139
0.914 1.584 1.380
3.894 -2.248 2.759
1.577 -2.732 4.139
2.317 -4.012 1.380
3.154 0.000 1.380
1.577 2.732 4.139
2.317 4.012 1.380
4.633 0.000 4.139
0.000 0.000 2.759
0.000 0.000 0.000

=====

No. 6
r²SCAN V4O3F9, relaxed; DFT total energy = -302.2 eV for the cell shown; energy of formation = -3.044 eV per atom; space group = No. 1; relative energy among the computed polymorphs = 0.000 eV per atom
1.0
-1.426 0.715 -4.839
3.211 3.536 2.246
13.451 -9.937 -2.923
V F O
8 18 6
Cartesian
10.111 -6.269 -4.074
12.121 -9.138 -7.645
13.431 -6.157 -2.266
4.980 0.468 -1.644
10.282 -2.574 -3.401
5.039 -3.229 -1.923
6.931 -2.671 -5.101
1.825 0.638 -3.170
8.241 -1.401 -0.569
8.933 -6.102 -2.565
1.880 2.381 -2.395
1.729 -1.104 -3.931
6.920 -3.453 -1.573
5.250 -1.390 -1.270
10.052 -4.294 -4.271
15.233 -6.643 -1.871
5.684 -2.428 -3.668
6.522 0.754 -0.394
1.148 -0.046 -1.521
11.562 -5.974 -2.829
3.922 0.618 0.034
13.940 -5.604 -4.069
11.426 -6.319 -5.481
8.396 -2.247 -3.934
9.591 -3.298 -1.782
13.235 -7.978 -3.106
3.594 0.325 -2.560
6.220 0.487 -3.052
0.013 0.954 -3.767
8.722 -6.370 -5.202
13.491 -4.594 -1.675
7.041 -4.331 -5.005

=====

No. 7
r²SCAN LiAg3, relaxed; DFT total energy = -67.0 eV for the cell shown; energy of formation = -0.129 eV per atom; space group = No. 139
1.0
2.028 0.399 4.507
-2.043 3.823 2.407
-2.001 -3.850 -2.399
Ag Li
3 1
Cartesian
0.010 -0.670 2.782
-0.008 2.111 3.457
-2.026 1.042 1.732
0.000 0.000 0.000

=====

No. 8
r²SCAN CsHgCl3, relaxed; DFT total energy = -797.0 eV for the cell shown; energy of formation = -1.338 eV per atom; space group = No. 14; relative energy among the computed polymorphs = 0.007 eV per atom
1.0
15.311 0.000 0.000
0.000 9.356 0.027
0.000 6.176 8.830
Cs Cl Hg
8 24 8
Cartesian
7.656 4.678 0.013
0.000 7.766 4.428
11.487 4.717 6.581
0.000 4.678 0.013
3.825 10.815 2.276
11.480 1.629 2.166
3.831 13.903 6.691
7.656 7.766 4.428
5.740 7.565 1.297
1.725 7.586 7.866
9.381 11.034 5.406
9.571 7.967 7.560
5.472 7.680 7.733
13.586 7.946 0.991
5.930 4.498 3.451
1.912 7.754 1.121
5.744 10.842 5.536
7.673 14.141 6.905
15.294 11.053 2.490
13.127 10.940 5.539
11.527 7.858 4.376
9.839 7.852 1.124
3.784 7.674 4.481
13.399 7.778 7.735
13.396 4.879 3.145
2.184 4.592 3.318
9.568 4.690 3.320
0.018 4.479 6.367
3.872 4.586 0.066
1.915 10.653 5.712
7.638 1.391 1.952
11.440 10.946 8.791
7.656 0.000 0.000
11.449 6.228 2.228
11.518 9.315 6.643
3.862 9.304 6.629
0.000 3.088 4.415
0.000 0.000 0.000
7.656 3.088 4.415
3.793 6.216 2.214

=====

No. 9
r²SCAN B, relaxed; DFT total energy = -88.2 eV for the cell shown; energy of formation = 0.000 eV per atom; space group = No. 166; relative energy among the computed polymorphs = 0.000 eV per atom
1.0
4.280 -0.002 2.665
1.479 4.017 2.665
-0.002 -0.002 5.042
B
12
Cartesian
4.747 1.385 8.552
1.011 2.628 1.821
1.878 2.536 3.384
4.488 3.129 6.012
3.879 1.477 6.990
5.702 3.974 7.021
2.815 0.039 1.821
3.029 0.884 3.384
2.728 3.129 6.990
1.269 0.884 4.361
0.056 0.039 3.352
2.942 3.974 8.552

=====

No. 10
r²SCAN PmCdHg2, relaxed; DFT total energy = -150.3 eV for the cell shown; energy of formation = -0.478 eV per atom; space group = No. 225
1.0
0.000 3.626 3.626
3.626 0.000 3.626
3.626 3.626 0.000
Hg Pm Cd
2 1 1
Cartesian
3.626 3.626 3.626
0.000 0.000 0.000
5.440 5.440 5.440
1.813 1.813 1.813

=====

No. 11
r²SCAN LuAl3C3, relaxed; DFT total energy = -183.3 eV for the cell shown; energy of formation = -0.506 eV per atom; space group = No. 194
1.0
3.382 0.000 0.000
-1.691 2.928 0.000
0.000 0.000 17.051
C Al Lu
6 6 2
Cartesian
1.691 0.976 12.788
0.000 1.952 10.064
0.000 1.952 4.263
1.691 0.976 6.987
1.691 0.976 1.539
0.000 1.952 15.513
1.691 0.976 4.263
1.691 0.976 10.782
0.000 1.952 6.270
0.000 1.952 12.788
0.000 1.952 2.256
1.691 0.976 14.795
0.000 0.000 8.526
0.000 0.000 0.000

=====

No. 12
r²SCAN NdSn2, relaxed; DFT total energy = -161.9 eV for the cell shown; energy of formation = -0.685 eV per atom; space group = No. 65
1.0
0.315 0.451 -4.441
3.468 -2.991 -0.058
-5.480 -6.377 1.218
Nd Sn
2 4
Cartesian
-1.529 -1.767 -0.288
-3.636 -4.159 -2.935
-0.115 -3.589 -2.628
0.158 0.226 -2.220
-1.582 -5.327 -0.654
1.734 -1.496 -0.029

=====

No. 13
r²SCAN Y6FeBi2, relaxed; DFT total energy = -257.7 eV for the cell shown; energy of formation = -0.492 eV per atom; space group = No. 6
1.0
-6.949 -0.084 4.628
0.475 -4.638 -6.935
1.554 -3.244 2.276
Fe Bi Y
1 2 6
Cartesian
-6.427 -4.689 -2.293
-1.224 -4.759 -1.967
-3.724 -3.227 1.925
-4.149 -5.214 -0.617
-0.847 -1.658 2.196
0.863 -2.708 -0.469
-4.172 -0.062 2.762
-2.600 -1.896 -0.927
0.267 -2.785 -4.152

=====

No. 14
r²SCAN Zr9Re4O3, relaxed; DFT total energy = -907.1 eV for the cell shown; energy of formation = -1.328 eV per atom; space group = No. 194
1.0
-3.469 4.622 6.249
-4.871 -2.926 -6.337
-1.510 -7.189 4.480
Zr Re O
18 8 6
Cartesian
-6.360 -2.354 -1.790
-3.490 -3.139 6.181
-3.519 -4.278 1.211
-5.759 1.512 1.482
-6.797 -3.611 1.176
-5.237 -4.188 3.909
-4.614 -1.305 0.482
-4.092 -7.004 2.909
-4.417 -0.065 5.672
-3.053 -1.883 3.216
-5.434 -5.428 -1.280
-2.480 0.845 1.516
-7.370 -6.337 2.875
-6.481 -2.530 6.150
-6.332 -1.216 3.181
-6.006 -8.154 0.418
-3.844 2.662 3.973
-3.370 -2.962 -1.758
-8.053 -3.563 3.962
-1.797 -1.929 0.429
-2.402 -4.713 4.022
-7.449 -0.780 0.369
-4.753 -1.581 8.256
-0.755 -3.595 2.240
-5.098 -3.912 -3.865
-1.510 -7.189 4.480
-3.191 -5.058 -0.929
-4.925 -2.746 2.196
-7.361 -4.209 -0.973
-3.946 -8.652 1.311
-8.116 -7.804 1.267
-5.680 -6.341 4.436

=====

No. 15
r²SCAN SeO2F2, relaxed; DFT total energy = -149.6 eV for the cell shown; energy of formation = -0.979 eV per atom; space group = No. 92
1.0
-2.661 4.652 1.065
-0.380 -1.422 5.262
9.521 4.981 2.033
O F Se
8 8 4
Cartesian
-0.288 1.895 0.655
6.313 6.308 3.044
8.674 4.291 3.739
1.445 2.571 5.589
3.286 4.494 6.962
1.126 0.883 3.320
4.076 6.659 4.767
1.288 5.742 5.365
1.929 3.422 3.115
-0.462 2.972 3.763
-1.360 4.461 1.264
1.177 6.324 2.580
5.056 4.252 4.194
8.177 3.391 6.394
4.965 2.246 6.482
6.437 5.775 5.648
2.008 5.413 6.743
5.403 5.928 4.290
1.077 2.283 4.071
-0.289 0.307 0.601